Below is crystalline CaFe2P2 at its relaxed geometry, with properties calculated at the meta-GGA r2SCAN level.

Its total energy is -57.46 eV for the cell shown. As for the formation energy: -0.717 eV per atom. The space group is I4/mmm (139).

Lattice parameters (Å, degrees): 3.7962 3.7962 5.6653 109.58 109.58 90.00
With the nearest neighbours (Å) after each atom.
Sites, in units of the cell vectors:
Ca  0.0000  0.0000  0.0000  8 P 3.04, 8 Fe 3.13
Fe  0.7500  0.2500  0.5000  4 P 2.17
Fe  0.2500  0.7500  0.5000  4 P 2.17
P  0.6436  0.6436  0.2872  4 Fe 2.17
P  0.3564  0.3564  0.7128  4 Fe 2.17


Below is crystalline Ca3Ga5 at its relaxed geometry, with properties calculated at the meta-GGA r2SCAN level.

Its total energy is -166.01 eV for the cell shown. As for the formation energy: -0.585 eV per atom. The space group is Cmcm (63).

Lattice parameters (Å, degrees): 4.4419 5.7884 14.9631 90.00 90.00 112.56
With the nearest neighbours (Å) after each atom.
Sites, in units of the cell vectors:
Ca  0.1288  0.2576  0.7500  9 Ga 3.13-3.27
Ca  0.8712  0.7424  0.2500  9 Ga 3.13-3.27
Ca  0.5905  0.1810  0.1096  11 Ga 3.10-3.37
Ca  0.4095  0.8190  0.8904  11 Ga 3.10-3.37
Ca  0.4095  0.8190  0.6096  11 Ga 3.10-3.37
Ca  0.5905  0.1810  0.3904  11 Ga 3.10-3.37
Ga  0.8349  0.6698  0.7500  2 Ga 2.63
Ga  0.1651  0.3302  0.2500  2 Ga 2.63
Ga  0.2927  0.5854  0.4002  4 Ga 2.62-2.75
Ga  0.7073  0.4146  0.5998  4 Ga 2.62-2.75
Ga  0.7073  0.4146  0.9002  4 Ga 2.62-2.75
Ga  0.2927  0.5854  0.0998  4 Ga 2.62-2.75
Ga  0.1162  0.2323  0.5334  4 Ga 2.62-2.75
Ga  0.8838  0.7677  0.4666  4 Ga 2.62-2.75
Ga  0.8838  0.7677  0.0334  4 Ga 2.62-2.75
Ga  0.1162  0.2323  0.9666  4 Ga 2.62-2.75